# 1
# Gd2CdSe4

A geometry-optimized Gd2CdSe4 structure (r²SCAN, the Materials Project database).

Calculated volume = 28.6 Å³ per atom
Formation enthalpy at 0 K = -1.70 eV/atom
Size of the total moment = 14.00 μB/f.u.
Symmetry = I-42d (122)

abc: 8.071 8.071 8.071
angles: 106.29 106.29 116.04
Fractional coordinates of all 14 atoms:
Gd 0.108 0.625 0.983
Gd 0.375 0.358 0.483
Gd 0.642 0.125 0.017
Gd 0.875 0.892 0.517
Cd 0.250 0.750 0.500
Cd 0.500 0.500 0.000
Se 0.090 0.381 0.194
Se 0.105 0.910 0.291
Se 0.131 0.340 0.694
Se 0.186 0.895 0.806
Se 0.564 0.869 0.209
Se 0.619 0.814 0.709
Se 0.645 0.436 0.306
Se 0.660 0.355 0.791

# 2
# NpGe2Rh2

A geometry-optimized NpGe2Rh2 structure (r²SCAN, the Materials Project database).

Calculated volume = 17.9 Å³ per atom
Formation enthalpy at 0 K = -0.80 eV/atom
Size of the total moment = 4.37 μB/f.u.
Symmetry = I4/mmm (139)

abc: 6.028 6.028 6.028
angles: 140.06 140.06 57.77
Fractional coordinates of all 5 atoms:
Np 0.000 0.000 0.000
Ge 0.376 0.376 0.000
Ge 0.624 0.624 0.000
Rh 0.250 0.750 0.500
Rh 0.750 0.250 0.500